1.
Sn4GeTe4Se: optimized geometry, PBE-GGA.

Output
* total moment: 0.0 μB/f.u.

abc: 4.4103 4.4103 55.2054
angles: 90.00 90.00 120.00
Closest atoms and distances in Å follow each position.
Space group R3m (No. 160, hexagonal axes)
One atom of each set of equivalent atoms:
Sn  0.0000  0.0000  0.0000 (multiplicity 3)  3 Se 2.93
Sn  0.0000  0.0000  0.1935 (multiplicity 3)  6 Te 3.07-3.31
Sn  0.0000  0.0000  0.5964 (multiplicity 3)  6 Te 3.07-3.32
Sn  0.0000  0.0000  0.7906 (multiplicity 3)  6 Te 3.08-3.33
Ge  0.0000  0.0000  0.3915 (multiplicity 3)  3 Te 2.95, 3 Se 3.09
Te  0.0000  0.0000  0.0850 (multiplicity 3)  3 Ge 2.95
Te  0.0000  0.0000  0.2942 (multiplicity 3)  6 Sn 3.07-3.34
Te  0.0000  0.0000  0.4886 (multiplicity 3)  6 Sn 3.08-3.31
Te  0.0000  0.0000  0.8912 (multiplicity 3)  6 Sn 3.07-3.32
Se  0.0000  0.0000  0.6931 (multiplicity 3)  3 Sn 2.93, 3 Ge 3.09

2.
TeAsCl3F6: optimized geometry, PBE-GGA.

Output
* total moment: 0.0 μB/f.u.

abc: 9.0504 10.2458 11.7476
angles: 90.00 118.72 90.00
Closest atoms and distances in Å follow each position.
Space group P2_1/c (No. 14)
One atom of each set of equivalent atoms:
Te  0.2442  0.1410  0.1806 (multiplicity 4)  3 Cl 2.30-2.32
As  0.1140  0.7085  0.7237 (multiplicity 4)  6 F 1.75-1.82
Cl  0.2430  0.1402  0.6351 (multiplicity 4)  1 Te 2.30
Cl  0.3938  0.0721  0.0777 (multiplicity 4)  1 Te 2.32
Cl  0.4740  0.1512  0.3862 (multiplicity 4)  1 Te 2.31
F  0.0190  0.6310  0.5646 (multiplicity 4)  1 As 1.82
F  0.0718  0.5632  0.7842 (multiplicity 4)  1 As 1.77
F  0.0917  0.2314  0.3143 (multiplicity 4)  1 As 1.80
F  0.1520  0.6526  0.1552 (multiplicity 4)  1 As 1.75
F  0.2017  0.7184  0.3774 (multiplicity 4)  1 As 1.75
F  0.3103  0.6384  0.7544 (multiplicity 4)  1 As 1.79

3.
Ba2GdB2ClO6: optimized geometry, PBE-GGA.

abc: 6.5338 5.3865 11.5236
angles: 90.00 95.82 90.00
Closest atoms and distances in Å follow each position.
Space group P2_1/m (No. 11)
One atom of each set of equivalent atoms:
Ba  0.0980  0.2500  0.2084 (multiplicity 2)  7 O 2.76-3.01
Ba  0.3383  0.2500  0.5732 (multiplicity 2)  3 O 2.66-2.77
Gd  0.3420  0.2500  0.9108 (multiplicity 2)  7 O 2.31-2.46
B  0.2135  0.7500  0.0755 (multiplicity 2)  3 O 1.36-1.40
B  0.3717  0.7500  0.7223 (multiplicity 2)  3 O 1.38-1.40
Cl  0.1518  0.7500  0.4169 (multiplicity 2)  4 Ba 3.22-3.40, 3 O 3.40-3.55
O  0.0129  0.7500  0.0976 (multiplicity 2)  1 B 1.36
O  0.2854  0.5293  0.7582 (multiplicity 4)  1 B 1.40
O  0.3257  0.5306  0.0674 (multiplicity 4)  1 B 1.40
O  0.4769  0.2500  0.3534 (multiplicity 2)  1 B 1.38

4.
Hg3Rh: optimized geometry, PBE-GGA.

Output
* total moment: 0.0 μB/f.u.

abc: 6.0124 6.0124 5.0672
angles: 90.00 90.00 120.00
Closest atoms and distances in Å follow each position.
Space group P6_3/mmc (No. 194)
One atom of each set of equivalent atoms:
Hg  0.1709  0.3418  0.2500 (multiplicity 6)  8 Hg 2.93-3.10, 4 Rh 3.01-3.05
Rh  0.3333  0.6667  0.7500 (multiplicity 2)  12 Hg 3.01-3.05

5.
BC5: optimized geometry, PBE-GGA.

Output
* E above lowest polymorph: 0.18 eV per formula unit
* total moment: 0.0 μB/f.u.

abc: 2.5516 2.5516 6.3997
angles: 90.00 90.00 120.00
Closest atoms and distances in Å follow each position.
Space group P3m1 (No. 156)
One atom of each set of equivalent atoms:
B  0.0000  0.0000  0.0000 (multiplicity 1)  4 C 1.61-1.63
C  0.0000  0.0000  0.2519 (multiplicity 1)  3 C 1.56, 1 B 1.61
C  0.3333  0.6667  0.3314 (multiplicity 1)  4 C 1.55-1.56
C  0.3333  0.6667  0.5738 (multiplicity 1)  4 C 1.55-1.57
C  0.6667  0.3333  0.6570 (multiplicity 1)  4 C 1.50-1.57
C  0.6667  0.3333  0.8914 (multiplicity 1)  1 C 1.50, 3 B 1.63

6.
SiO2: optimized geometry, PBE-GGA.

Output
* total moment: 0.0 μB/f.u.

abc: 12.3728 12.3728 4.3748
angles: 90.00 90.00 90.00
Closest atoms and distances in Å follow each position.
Space group P4/nbm (No. 125, origin choice 2)
One atom of each set of equivalent atoms:
Si  0.0219  0.1449  0.2397 (multiplicity 16)  4 O 1.55-1.72
O  0.0024  0.2500  0.0000 (multiplicity 8)  2 Si 1.69
O  0.0624  0.0624  0.0000 (multiplicity 8)  2 Si 1.55
O  0.0967  0.5967  0.3672 (multiplicity 8)  2 Si 1.68
O  0.1240  0.1240  0.5000 (multiplicity 8)  2 Si 1.72

7.
Lu2InAu2: optimized geometry, PBE-GGA.

Output
* E above lowest polymorph: 1.10 eV per formula unit
* total moment: 0.0 μB/f.u.

abc: 8.2178 8.2178 6.9506
angles: 90.00 90.00 90.00
Closest atoms and distances in Å follow each position.
Space group P4_2/mnm (No. 136)
One atom of each set of equivalent atoms:
Lu  0.1508  0.1508  0.2481 (multiplicity 8)  6 Au 2.96-2.99, 2 In 3.13
In  0.0000  0.5000  0.2500 (multiplicity 4)  4 Lu 3.13, 2 In 3.48
Au  0.1393  0.8607  0.5000 (multiplicity 4)  6 Lu 2.96-2.99, 1 Au 3.24
Au  0.1431  0.8569  0.0000 (multiplicity 4)  6 Lu 2.97

8.
Tm4Al2O9: optimized geometry, PBE-GGA.

Output
* total moment: 0.0 μB/f.u.

abc: 7.3026 10.4241 11.0611
angles: 90.00 108.43 90.00
Closest atoms and distances in Å follow each position.
Space group P2_1/c (No. 14)
One atom of each set of equivalent atoms:
Tm  0.0222  0.0938  0.3053 (multiplicity 4)  6 O 2.16-2.34
Tm  0.1636  0.6216  0.5874 (multiplicity 4)  6 O 2.21-2.36
Tm  0.3373  0.1238  0.9355 (multiplicity 4)  5 O 2.21-2.31
Tm  0.4770  0.6072  0.2167 (multiplicity 4)  7 O 2.22-2.47
Al  0.2156  0.1846  0.6284 (multiplicity 4)  4 O 1.74-1.77
Al  0.3452  0.6816  0.8870 (multiplicity 4)  4 O 1.75-1.77
O  0.0686  0.2337  0.4784 (multiplicity 4)  1 Al 1.74
O  0.0769  0.5065  0.3935 (multiplicity 4)  4 Tm 2.26-2.36
O  0.2103  0.7315  0.2520 (multiplicity 4)  1 Al 1.76
O  0.2148  0.0206  0.6603 (multiplicity 4)  1 Al 1.75
O  0.2330  0.2336  0.2718 (multiplicity 4)  1 Al 1.77
O  0.3011  0.5222  0.8331 (multiplicity 4)  1 Al 1.76
O  0.3611  0.7291  0.0417 (multiplicity 4)  1 Al 1.75
O  0.4319  0.2470  0.6137 (multiplicity 4)  2 Al 1.76-1.77
O  0.4345  0.5093  0.6062 (multiplicity 4)  4 Tm 2.21-2.27

Going through the records in order, we get electronic total energy values of -3.943; -3.839; -8.141; -1.844; -8.545; -7.387; -4.253; -8.116 eV/atom.
Going through the records in order, we get E_form values of -317; -1833; -3251; 224; 259; -2738; -585; -3867 meV per atom.